[1]
PBE HfNi3, optimized geometry; ΔH_f (0 K) = -0.5381 eV per atom; total energy = -7.36 eV/atom
1.0
5.2666 0.0000 0.0000
-2.6333 4.5610 0.0000
0.0000 0.0000 21.4106
Hf Ni
10 30
direct
0.0000 0.0000 0.2500 Hf
0.0000 0.0000 0.7500 Hf
0.3333 0.6667 0.0461 Hf
0.3333 0.6667 0.4539 Hf
0.3333 0.6667 0.6511 Hf
0.3333 0.6667 0.8489 Hf
0.6667 0.3333 0.1511 Hf
0.6667 0.3333 0.3489 Hf
0.6667 0.3333 0.5461 Hf
0.6667 0.3333 0.9539 Hf
0.0213 0.5107 0.2500 Ni
0.1563 0.3126 0.5512 Ni
0.1563 0.3126 0.9488 Ni
0.1563 0.8437 0.5512 Ni
0.1563 0.8437 0.9488 Ni
0.1678 0.3355 0.1496 Ni
0.1678 0.3355 0.3504 Ni
0.1678 0.8322 0.1496 Ni
0.1678 0.8322 0.3504 Ni
0.3126 0.1563 0.0512 Ni
0.3126 0.1563 0.4488 Ni
0.3355 0.1678 0.6496 Ni
0.3355 0.1678 0.8504 Ni
0.4893 0.5107 0.2500 Ni
0.4893 0.9787 0.2500 Ni
0.5107 0.0213 0.7500 Ni
0.5107 0.4893 0.7500 Ni
0.6645 0.8322 0.1496 Ni
0.6645 0.8322 0.3504 Ni
0.6874 0.8437 0.5512 Ni
0.6874 0.8437 0.9488 Ni
0.8322 0.1678 0.6496 Ni
0.8322 0.1678 0.8504 Ni
0.8322 0.6645 0.6496 Ni
0.8322 0.6645 0.8504 Ni
0.8437 0.1563 0.0512 Ni
0.8437 0.1563 0.4488 Ni
0.8437 0.6874 0.0512 Ni
0.8437 0.6874 0.4488 Ni
0.9787 0.4893 0.7500 Ni

---

[2]
PBE Ba3Ti2N4, optimized geometry; magnetization = 0.0 μB per cell; ΔH_f (0 K) = -1.1056 eV per atom; total energy = -7.04 eV/atom; ΔE to the lowest computed polymorph = 0.44 eV/f.u.
1.0
6.2834 -4.5886 0.0000
6.2834 4.5886 0.0000
-0.2458 0.0000 6.0635
Ba Ti N
6 4 8
direct
0.0987 0.9013 0.7500 Ba
0.2427 0.5166 0.4418 Ba
0.4834 0.7573 0.0582 Ba
0.5166 0.2427 0.9418 Ba
0.7573 0.4834 0.5582 Ba
0.9013 0.0987 0.2500 Ba
0.0917 0.3246 0.9300 Ti
0.3246 0.0917 0.4300 Ti
0.6754 0.9083 0.5700 Ti
0.9083 0.6754 0.0700 Ti
0.1292 0.2371 0.6206 N
0.1624 0.5434 0.9799 N
0.2371 0.1292 0.1206 N
0.4566 0.8376 0.5201 N
0.5434 0.1624 0.4799 N
0.7629 0.8708 0.8794 N
0.8376 0.4566 0.0201 N
0.8708 0.7629 0.3794 N

---

[3]
PBE Ca2SiO4, optimized geometry; magnetization = 0.0 μB per cell; ΔH_f (0 K) = -3.2878 eV per atom; total energy = -7.07 eV/atom; ΔE to the lowest computed polymorph = 1.32 eV/f.u.
1.0
3.6102 0.0000 0.0000
0.0000 3.6102 0.0000
0.0000 0.0000 11.7231
Ca Si O
4 2 8
direct
0.0000 0.0000 0.1462 Ca
0.0000 0.0000 0.8538 Ca
0.5000 0.5000 0.3538 Ca
0.5000 0.5000 0.6462 Ca
0.0000 0.0000 0.5000 Si
0.5000 0.5000 0.0000 Si
0.0000 0.0000 0.3446 O
0.0000 0.0000 0.6554 O
0.0000 0.5000 0.0000 O
0.0000 0.5000 0.5000 O
0.5000 0.0000 0.0000 O
0.5000 0.0000 0.5000 O
0.5000 0.5000 0.1554 O
0.5000 0.5000 0.8446 O

---

[4]
PBE Rb3YO3, optimized geometry; ΔH_f (0 K) = -2.2031 eV per atom; total energy = -5.37 eV/atom; ΔE to the lowest computed polymorph = 0.00 eV/f.u.
1.0
8.0124 0.0000 0.0000
0.0000 7.4006 0.0000
-0.8045 0.0000 11.7691
Rb Y O
12 4 12
direct
0.0695 0.1216 0.1557 Rb
0.0695 0.3784 0.6557 Rb
0.3580 0.1683 0.9206 Rb
0.3580 0.3317 0.4206 Rb
0.3754 0.6963 0.8079 Rb
0.3754 0.8037 0.3079 Rb
0.6246 0.1963 0.6921 Rb
0.6246 0.3037 0.1921 Rb
0.6420 0.6683 0.5794 Rb
0.6420 0.8317 0.0794 Rb
0.9305 0.6216 0.3443 Rb
0.9305 0.8784 0.8443 Rb
0.1626 0.5897 0.0674 Y
0.1626 0.9103 0.5674 Y
0.8374 0.0897 0.4326 Y
0.8374 0.4103 0.9326 Y
0.1072 0.0499 0.4031 O
0.1072 0.4501 0.9031 O
0.2546 0.6434 0.5435 O
0.2546 0.8566 0.0435 O
0.3115 0.0589 0.6901 O
0.3115 0.4411 0.1901 O
0.6885 0.5589 0.8099 O
0.6885 0.9411 0.3099 O
0.7454 0.1434 0.9565 O
0.7454 0.3566 0.4565 O
0.8928 0.5499 0.0969 O
0.8928 0.9501 0.5969 O

---

[5]
PBE SrO, optimized geometry; ΔH_f (0 K) = -3.0771 eV per atom; total energy = -6.05 eV/atom
1.0
5.2062 0.0000 0.0000
0.0000 5.2062 0.0000
0.0000 0.0000 5.2062
Sr O
4 4
direct
0.0000 0.0000 0.0000 Sr
0.0000 0.5000 0.5000 Sr
0.5000 0.0000 0.5000 Sr
0.5000 0.5000 0.0000 Sr
0.0000 0.0000 0.5000 O
0.0000 0.5000 0.0000 O
0.5000 0.0000 0.0000 O
0.5000 0.5000 0.5000 O

---

[6]
PBE CrRh2Se4, optimized geometry; magnetization = 7.4 μB per cell; ΔH_f (0 K) = -0.6581 eV per atom; total energy = -5.87 eV/atom
1.0
12.7250 0.0000 0.0000
0.0000 3.7204 0.0000
-3.2457 0.0000 5.7130
Cr Rh Se
2 4 8
direct
0.0000 0.0000 0.0000 Cr
0.5000 0.5000 0.0000 Cr
0.2398 0.5000 0.7245 Rh
0.2602 0.0000 0.2755 Rh
0.7398 0.0000 0.7245 Rh
0.7602 0.5000 0.2755 Rh
0.1279 0.0000 0.4572 Se
0.1327 0.5000 0.9716 Se
0.3673 0.0000 0.0284 Se
0.3721 0.5000 0.5428 Se
0.6279 0.5000 0.4572 Se
0.6327 0.0000 0.9716 Se
0.8673 0.5000 0.0284 Se
0.8721 0.0000 0.5428 Se